# Hf2TcNi

Crystalline Hf2TcNi at its relaxed geometry (PBE, Materials Project).

Output
- formation enthalpy at 0 K (eV per atom) = -0.495

abc: 6.4644 6.4644 6.4644
angles: 90.00 90.00 90.00
Space group Fm-3m (No. 225)
Inequivalent atoms, fractional coordinates:
Hf (0.2500, 0.2500, 0.2500) [8 per cell]
Tc (0.0000, 0.0000, 0.0000) [4 per cell]
Ni (0.0000, 0.0000, 0.5000) [4 per cell]